[1]
# NaRu2O4 (meta-GGA r2SCAN, relaxed)
data_NaRu2O4
_cell_length_a 9.390
_cell_length_b 2.778
_cell_length_c 11.168
_cell_angle_alpha 90.00
_cell_angle_beta 90.00
_cell_angle_gamma 90.00
_symmetry_space_group_name_H-M 'P n m a'
_symmetry_Int_Tables_number 62
_symmetry_space_group_name_Hall '-P 2ac 2n'
loop_
_atom_site_label
_atom_site_type_symbol
_atom_site_fract_x
_atom_site_fract_y
_atom_site_fract_z
_atom_site_occupancy
Na1 Na 0.241 0.250 0.156 1
Ru1 Ru 0.060 0.250 0.383 1
Ru2 Ru 0.085 0.250 0.895 1
O1 O 0.028 0.750 0.778 1
O2 O 0.086 0.250 0.563 1
O3 O 0.111 0.750 0.027 1
O4 O 0.209 0.750 0.339 1
# energy of formation: -1.30 eV per atom

[2]
# Na2S2O7 (meta-GGA r2SCAN, relaxed)
data_Na2S2O7
_cell_length_a 6.719
_cell_length_b 6.770
_cell_length_c 6.808
_cell_angle_alpha 83.72
_cell_angle_beta 63.19
_cell_angle_gamma 83.46
_symmetry_space_group_name_H-M 'P -1'
_symmetry_Int_Tables_number 2
_symmetry_space_group_name_Hall '-P 1'
loop_
_atom_site_label
_atom_site_type_symbol
_atom_site_fract_x
_atom_site_fract_y
_atom_site_fract_z
_atom_site_occupancy
Na1 Na 0.117 0.166 0.257 1
Na2 Na 0.274 0.363 0.676 1
S1 S 0.232 0.659 0.249 1
S2 S 0.359 0.861 0.812 1
O1 O 0.082 0.829 0.350 1
O2 O 0.116 0.509 0.213 1
O3 O 0.209 0.742 0.786 1
O4 O 0.263 0.055 0.892 1
O5 O 0.376 0.582 0.350 1
O6 O 0.415 0.740 0.010 1
O7 O 0.417 0.141 0.364 1
# energy of formation: -1.77 eV per atom

[3]
# Na2Sb4O7 (meta-GGA r2SCAN, relaxed)
data_Na2Sb4O7
_cell_length_a 11.124
_cell_length_b 16.770
_cell_length_c 5.674
_cell_angle_alpha 90.00
_cell_angle_beta 118.15
_cell_angle_gamma 90.00
_symmetry_space_group_name_H-M 'C 1 2/c 1'
_symmetry_Int_Tables_number 15
_symmetry_space_group_name_Hall '-C 2yc'
loop_
_atom_site_label
_atom_site_type_symbol
_atom_site_fract_x
_atom_site_fract_y
_atom_site_fract_z
_atom_site_occupancy
Na1 Na 0.084 0.091 0.079 1
Sb1 Sb 0.140 0.243 0.678 1
Sb2 Sb 0.205 0.431 0.260 1
O1 O 0.000 0.192 0.750 1
O2 O 0.138 0.133 0.497 1
O3 O 0.201 0.315 0.036 1
O4 O 0.203 0.014 0.915 1
# energy of formation: -1.61 eV per atom

[4]
# NaSbO2 (meta-GGA r2SCAN, relaxed)
data_NaSbO2
_cell_length_a 4.789
_cell_length_b 19.764
_cell_length_c 6.140
_cell_angle_alpha 90.00
_cell_angle_beta 90.00
_cell_angle_gamma 90.00
_symmetry_space_group_name_H-M 'P b c a'
_symmetry_Int_Tables_number 61
_symmetry_space_group_name_Hall '-P 2ac 2ab'
loop_
_atom_site_label
_atom_site_type_symbol
_atom_site_fract_x
_atom_site_fract_y
_atom_site_fract_z
_atom_site_occupancy
Na1 Na 0.220 0.206 0.076 1
Sb1 Sb 0.244 0.095 0.548 1
O1 O 0.146 0.108 0.862 1
O2 O 0.209 0.186 0.448 1
# energy of formation: -1.66 eV per atom

[5]
# NaSb5O8 (meta-GGA r2SCAN, relaxed)
data_NaSb5O8
_cell_length_a 7.170
_cell_length_b 7.366
_cell_length_c 9.696
_cell_angle_alpha 73.81
_cell_angle_beta 73.64
_cell_angle_gamma 85.32
_symmetry_space_group_name_H-M 'P -1'
_symmetry_Int_Tables_number 2
_symmetry_space_group_name_Hall '-P 1'
loop_
_atom_site_label
_atom_site_type_symbol
_atom_site_fract_x
_atom_site_fract_y
_atom_site_fract_z
_atom_site_occupancy
Na1 Na 0.249 0.434 0.466 1
Sb1 Sb 0.036 0.397 0.169 1
Sb2 Sb 0.042 0.825 0.224 1
Sb3 Sb 0.247 0.939 0.473 1
Sb4 Sb 0.393 0.237 0.835 1
Sb5 Sb 0.469 0.694 0.841 1
O1 O 0.003 0.894 0.420 1
O2 O 0.042 0.553 0.317 1
O3 O 0.058 0.359 0.940 1
O4 O 0.255 0.183 0.702 1
O5 O 0.313 0.192 0.337 1
O6 O 0.324 0.457 0.074 1
O7 O 0.350 0.806 0.304 1
O8 O 0.434 0.512 0.734 1
# energy of formation: -1.53 eV per atom

[6]
# NaSb5O13 (meta-GGA r2SCAN, relaxed)
data_NaSb5O13
_cell_length_a 16.538
_cell_length_b 8.915
_cell_length_c 6.596
_cell_angle_alpha 90.00
_cell_angle_beta 90.00
_cell_angle_gamma 90.00
_symmetry_space_group_name_H-M 'A m a 2'
_symmetry_Int_Tables_number 40
_symmetry_space_group_name_Hall 'A 2 -2a'
loop_
_atom_site_label
_atom_site_type_symbol
_atom_site_fract_x
_atom_site_fract_y
_atom_site_fract_z
_atom_site_occupancy
Na1 Na 0.250 0.127 0.000 1
Sb1 Sb 0.000 0.000 0.001 1
Sb2 Sb 0.079 0.385 0.001 1
Sb3 Sb 0.139 0.268 0.501 1
O1 O 0.000 0.000 0.312 1
O2 O 0.000 0.000 0.690 1
O3 O 0.010 0.274 0.501 1
O4 O 0.115 0.487 0.501 1
O5 O 0.136 0.270 0.203 1
O6 O 0.136 0.270 0.799 1
O7 O 0.153 0.054 0.501 1
O8 O 0.250 0.330 0.501 1
# energy of formation: -1.60 eV per atom

[7]
# NaSbO2 (meta-GGA r2SCAN, relaxed)
data_NaSbO2
_cell_length_a 7.495
_cell_length_b 7.512
_cell_length_c 5.535
_cell_angle_alpha 90.00
_cell_angle_beta 128.60
_cell_angle_gamma 90.00
_symmetry_space_group_name_H-M 'C 1 2/c 1'
_symmetry_Int_Tables_number 15
_symmetry_space_group_name_Hall '-C 2yc'
loop_
_atom_site_label
_atom_site_type_symbol
_atom_site_fract_x
_atom_site_fract_y
_atom_site_fract_z
_atom_site_occupancy
Na1 Na 0.000 0.122 0.250 1
Sb1 Sb 0.000 0.388 0.750 1
O1 O 0.200 0.443 0.246 1
# energy of formation: -1.66 eV per atom

[8]
# Na4Sc2Si4O13 (meta-GGA r2SCAN, relaxed)
data_Na4Sc2Si4O13
_cell_length_a 14.163
_cell_length_b 5.277
_cell_length_c 14.411
_cell_angle_alpha 90.00
_cell_angle_beta 90.00
_cell_angle_gamma 90.00
_symmetry_space_group_name_H-M 'P n a 21'
_symmetry_Int_Tables_number 33
_symmetry_space_group_name_Hall 'P 2c -2n'
loop_
_atom_site_label
_atom_site_type_symbol
_atom_site_fract_x
_atom_site_fract_y
_atom_site_fract_z
_atom_site_occupancy
Na1 Na 0.052 0.192 0.000 1
Na2 Na 0.079 0.673 0.294 1
Na3 Na 0.170 0.673 0.089 1
Na4 Na 0.198 0.281 0.376 1
Sc1 Sc 0.079 0.350 0.585 1
Sc2 Sc 0.170 0.190 0.790 1
Si1 Si 0.023 0.149 0.212 1
Si2 Si 0.058 0.700 0.892 1
Si3 Si 0.194 0.827 0.483 1
Si4 Si 0.226 0.173 0.165 1
O1 O 0.017 0.406 0.154 1
O2 O 0.032 0.747 0.000 1
O3 O 0.033 0.206 0.325 1
O4 O 0.054 0.071 0.695 1
O5 O 0.073 0.406 0.865 1
O6 O 0.106 0.637 0.494 1
O7 O 0.127 0.015 0.187 1
O8 O 0.146 0.883 0.870 1
O9 O 0.175 0.114 0.517 1
O10 O 0.191 0.467 0.681 1
O11 O 0.217 0.228 0.051 1
O12 O 0.223 0.820 0.374 1
O13 O 0.227 0.434 0.222 1
# energy of formation: -3.02 eV per atom

[9]
# Na4SeO5 (meta-GGA r2SCAN, relaxed)
data_Na4SeO5
_cell_length_a 5.545
_cell_length_b 9.793
_cell_length_c 9.798
_cell_angle_alpha 113.33
_cell_angle_beta 96.32
_cell_angle_gamma 95.92
_symmetry_space_group_name_H-M 'P -1'
_symmetry_Int_Tables_number 2
_symmetry_space_group_name_Hall '-P 1'
loop_
_atom_site_label
_atom_site_type_symbol
_atom_site_fract_x
_atom_site_fract_y
_atom_site_fract_z
_atom_site_occupancy
Na1 Na 0.000 0.000 0.000 1
Na2 Na 0.002 0.399 0.601 1
Na3 Na 0.006 0.809 0.199 1
Na4 Na 0.237 0.549 0.936 1
Na5 Na 0.247 0.942 0.542 1
Na6 Na 0.269 0.358 0.153 1
Na7 Na 0.279 0.163 0.362 1
Na8 Na 0.497 0.900 0.095 1
Na9 Na 0.500 0.500 0.500 1
Se1 Se 0.214 0.780 0.755 1
Se2 Se 0.484 0.295 0.733 1
O1 O 0.054 0.351 0.342 1
O2 O 0.118 0.948 0.772 1
O3 O 0.136 0.774 0.927 1
O4 O 0.206 0.609 0.191 1
O5 O 0.209 0.191 0.603 1
O6 O 0.326 0.729 0.583 1
O7 O 0.382 0.318 0.899 1
O8 O 0.400 0.878 0.317 1
O9 O 0.412 0.455 0.709 1
O10 O 0.475 0.156 0.152 1
# energy of formation: -1.52 eV per atom

[10]
# Na2Se2O7 (meta-GGA r2SCAN, relaxed)
data_Na2Se2O7
_cell_length_a 6.940
_cell_length_b 6.949
_cell_length_c 7.046
_cell_angle_alpha 82.50
_cell_angle_beta 65.27
_cell_angle_gamma 82.05
_symmetry_space_group_name_H-M 'P -1'
_symmetry_Int_Tables_number 2
_symmetry_space_group_name_Hall '-P 1'
loop_
_atom_site_label
_atom_site_type_symbol
_atom_site_fract_x
_atom_site_fract_y
_atom_site_fract_z
_atom_site_occupancy
Na1 Na 0.233 0.350 0.396 1
Na2 Na 0.239 0.926 0.764 1
Se1 Se 0.254 0.859 0.276 1
Se2 Se 0.298 0.401 0.866 1
O1 O 0.134 0.417 0.109 1
O2 O 0.134 0.686 0.445 1
O3 O 0.136 0.967 0.129 1
O4 O 0.244 0.269 0.725 1
O5 O 0.333 0.009 0.385 1
O6 O 0.400 0.602 0.742 1
O7 O 0.486 0.747 0.082 1
# energy of formation: -1.16 eV per atom